Entry 1:
Compound: ZnCr2CoO7
Source: Materials Project
Functional: PBE with a Hubbard U
Structure: relaxed

```
88
Lattice="14.5207 0.0000 0.0000 0.0000 6.4819 0.0000 0.0000 2.4937 11.5337" Properties=species:S:1:pos:R:3 pbc="T T T"
Zn 7.4456 8.0988 8.8753
Zn 12.8570 6.7803 10.5322
Zn 5.5967 3.4421 6.7683
Zn 1.6637 2.1953 1.0015
Zn 8.9240 5.5335 4.7653
Zn 14.3355 6.8520 3.1085
Zn 7.0751 0.8768 2.6584
Zn 0.1852 2.1236 8.4252
Cr 12.9849 3.5813 11.4673
Cr 0.2604 5.4022 7.9224
Cr 6.9999 4.1554 2.1556
Cr 14.2603 3.5734 3.6113
Cr 10.2574 5.2084 8.9463
Cr 2.9971 5.0140 8.3543
Cr 4.2633 3.7672 2.5874
Cr 11.5236 3.9616 3.1794
Cr 7.5208 4.8202 9.3781
Cr 2.0301 2.0676 5.6086
Cr 9.2904 5.6611 0.1583
Cr 12.4906 6.9079 5.9251
Cr 5.7245 6.6411 5.8332
Cr 8.7962 2.3344 5.7005
Cr 1.5359 5.3943 0.0664
Cr 5.2303 3.3145 11.3754
Co 9.5903 2.5470 0.8149
Co 2.3299 5.1817 4.9519
Co 4.9304 6.4286 10.7188
Co 12.1908 3.7938 6.5818
Co 11.0950 0.6473 2.7492
Co 3.8346 7.0814 3.0177
Co 3.4257 8.3283 8.7845
Co 10.6861 1.8942 8.5160
O 0.0355 4.0190 11.3030
O 7.2958 6.2035 5.9975
O 14.4852 4.9566 0.2307
O 7.2249 2.7721 5.5361
O 12.5296 2.3465 10.3935
O 5.2693 7.8760 6.9071
O 1.9911 6.6291 1.1402
O 9.2514 1.0996 4.6266
O 12.7553 0.5642 1.5239
O 5.4950 7.1645 4.2429
O 1.7654 8.4114 10.0098
O 9.0257 1.8110 7.2908
O 4.1429 4.5782 11.0326
O 11.4033 5.6442 6.2679
O 10.3778 4.3974 0.5011
O 3.1175 3.3313 5.2658
O 5.3336 0.5849 1.5783
O 12.5939 7.1438 4.1886
O 9.1871 8.3906 9.9554
O 1.9268 1.8318 7.3451
O 4.7796 8.3939 10.4120
O 6.6234 6.3779 9.4760
O 12.0400 1.8285 6.8886
O 2.4807 7.1470 4.6451
O 6.8821 3.4506 8.3321
O 14.1425 6.7718 8.9684
O 7.6386 5.5250 3.2016
O 0.3782 2.2038 2.5653
O 6.7855 3.8867 10.9329
O 14.0458 6.3357 6.3676
O 7.7352 5.0889 0.6008
O 0.4749 2.6399 5.1660
O 12.9681 4.2425 2.2662
O 5.7077 3.4863 3.5006
O 1.5527 4.7331 9.2674
O 8.8130 5.4893 8.0331
O 10.7475 2.5613 2.5767
O 3.4871 5.1675 3.1901
O 3.7732 6.4143 8.9570
O 11.0336 3.8081 8.3435
O 9.6971 3.7203 5.3861
O 2.4368 4.0085 0.3807
O 4.8236 5.2553 6.1475
O 12.0839 4.9671 11.1530
O 10.5772 5.3694 3.4123
O 3.3168 2.3594 2.3545
O 3.9435 3.6062 8.1214
O 11.2039 6.6162 9.1791
O 12.6366 3.6201 4.5851
O 5.3762 4.1086 1.1817
O 1.8841 5.3555 6.9485
O 9.1445 4.8670 10.3520
O 0.6369 5.1311 3.7092
O 7.8973 2.5976 2.0577
O 13.8838 3.8445 7.8245
O 9.7411 0.5817 1.1217
```

Calculated formation energy, eV/atom: -1.621

Entry 2:
Compound: MgV5O10
Source: Materials Project
Functional: PBE with a Hubbard U
Structure: relaxed

```
16
Lattice="1.1870 -5.0169 2.0491 -3.2592 -4.4169 -5.0411 3.7297 -3.0209 -2.5592" Properties=species:S:1:pos:R:3 pbc="T T T"
Mg 2.4647 -8.7443 -1.7414
V -3.1732 -4.3874 -4.9866
V 1.1756 -7.2921 -3.9238
V 3.3576 -5.9629 -2.2919
V 0.4063 -5.2730 -1.6438
V 0.7229 -10.2934 -3.5844
O 2.2624 -8.9432 -3.7894
O -0.1777 -8.6465 -3.4016
O 0.6184 -10.6420 -5.3845
O 1.5950 -6.9537 -1.9691
O 0.5298 -4.8516 0.2842
O 0.6670 -7.0416 -5.6251
O 2.2243 -4.4006 -2.1435
O 0.2128 -5.4498 -3.6958
O -2.1931 -6.0610 -5.1122
O -0.6686 -3.4273 -1.4779
```

Calculated formation energy, eV/atom: -2.506
Energy above the most stable polymorph in this dataset, eV per atom: 0.015

Entry 3:
Compound: VF5
Source: Materials Project
Functional: PBE with a Hubbard U
Structure: relaxed

```
48
Lattice="18.1779 0.0000 0.0000 0.0000 5.3428 0.0000 0.0000 5.3297 7.7795" Properties=species:S:1:pos:R:3 pbc="T T T"
V 2.1998 1.2666 0.9437
V 6.8180 6.6042 7.5710
V 11.2888 6.7411 2.9460
V 15.9070 6.7331 4.0983
V 2.2710 3.9394 3.6812
V 6.8891 3.9314 4.8335
V 11.3599 4.0683 0.2085
V 15.9781 9.4059 6.8358
F 6.4585 5.4452 4.0752
F 2.7179 5.4626 4.4090
F 2.4897 5.6161 7.3178
F 6.4843 5.6357 1.1851
F 10.8601 5.6235 1.2807
F 16.4333 5.6333 5.7647
F 5.2605 6.4102 6.7465
F 3.7834 6.4125 1.7176
F 9.5418 6.5955 3.1694
F 17.6397 6.5990 3.8076
F 8.5507 1.4087 0.0822
F 0.4528 1.4121 0.7204
F 12.8723 1.5951 2.1722
F 14.3494 6.9271 4.9227
F 7.3443 7.7040 5.9046
F 1.7711 2.3842 2.6091
F 15.5733 2.3720 2.7047
F 11.5786 7.7213 4.3515
F 11.8069 7.8747 7.2603
F 15.5475 7.8921 7.5941
F 2.6304 2.7804 0.1854
F 6.3711 2.7978 0.5193
F 6.5993 2.9512 3.4280
F 2.6046 8.3005 5.0748
F 16.4068 8.2883 5.1704
F 10.8336 2.9684 1.8750
F 3.8285 3.7454 2.8568
F 5.3056 9.0774 5.6074
F 17.7251 9.2604 7.0592
F 9.6272 9.2638 7.6973
F 0.5382 4.0735 3.9720
F 8.6361 4.0769 4.6101
F 14.3946 4.2599 6.0619
F 12.9175 4.2623 1.0330
F 1.7446 5.0392 2.0148
F 7.3179 5.0490 6.4989
F 11.6936 5.0368 6.5945
F 15.6883 5.0564 0.4617
F 15.4600 5.2098 3.3705
F 11.7194 5.2273 3.7044
```

Calculated formation energy, eV/atom: -2.798

Entry 4:
Compound: KMnP3HO10
Source: Materials Project
Functional: PBE with a Hubbard U
Structure: relaxed

```
64
Lattice="-5.7876 -2.1217 5.8523 5.7376 7.5762 2.6023 -8.8084 4.7684 -6.6599" Properties=species:S:1:pos:R:3 pbc="T T T"
K -5.0265 4.4706 -2.2900
K -3.5238 1.0188 3.9516
K -5.3392 9.1992 -2.1712
K -3.8274 5.7594 4.0984
Mn -5.2106 9.5599 1.9948
Mn -3.6474 0.6646 -0.2041
Mn -7.3221 4.0502 3.8227
Mn -0.0313 2.7295 4.2322
P -1.5665 2.9361 -1.1728
P -8.8693 4.2566 -1.5721
P 0.0115 5.9661 3.3678
P -7.2889 7.2887 2.9650
P -3.5910 7.2374 0.3885
P -2.0802 3.7911 6.6491
P -6.7778 6.4278 -4.8483
P -5.2679 2.9873 1.4038
P -7.9858 8.6786 0.4394
P -0.6872 7.3532 0.8417
P -8.1707 2.8656 0.9522
P -0.8737 1.5487 1.3563
H -4.4230 5.1249 0.9060
H -11.7377 6.4131 0.4838
H -0.8039 7.1681 5.3116
H -8.0542 3.0496 -3.5247
O -0.9064 2.7530 0.3043
O -8.2033 4.0711 -0.1014
O -0.6564 6.1495 1.8973
O -7.9523 7.4730 1.4913
O 3.4425 4.7470 1.7586
O -3.8551 6.0713 1.3583
O -5.0050 4.1553 0.4420
O -12.2984 5.4737 0.0342
O -2.9015 2.1820 -1.2210
O -10.2015 3.4978 -1.6204
O 1.3423 6.7232 3.4159
O -5.9551 8.0464 3.0100
O -2.1785 7.8962 0.9020
O -0.6663 4.4564 7.1604
O -8.1902 5.7722 -5.3646
O -6.6806 2.3217 0.8908
O -1.8348 4.4320 -1.2341
O -9.1362 5.7507 -1.6374
O 0.2748 4.4714 3.4358
O -7.0206 5.7940 3.0293
O -4.5948 8.3903 0.5386
O 2.7036 7.0688 0.9411
O -11.5618 3.1535 0.8507
O -4.2618 1.8344 1.2542
O -3.4445 6.8295 -1.0637
O -1.9277 3.3936 5.1922
O -6.9248 6.8362 -3.3968
O -5.4195 3.3839 2.8602
O -7.0437 9.7811 0.8121
O 0.2524 8.4571 1.2143
O -9.1113 1.7623 0.5780
O -1.8136 0.4444 0.9840
O -7.8230 3.7415 -2.5688
O -6.3073 0.2985 3.6881
O -2.5465 9.9251 -1.8919
O -1.0363 6.4834 4.3639
O -8.4391 3.4933 2.3173
O -1.1408 2.1722 2.7237
O -7.7185 8.0519 -0.9270
O -0.4185 6.7267 -0.5232
```

Calculated formation energy, eV/atom: -2.474

Entry 5:
Compound: Sr2ErMoO6
Source: Materials Project
Functional: PBE with a Hubbard U
Structure: relaxed

```
20
Lattice="5.8827 0.0000 0.0000 0.0000 5.8070 0.0000 0.0000 5.7385 8.3315" Properties=species:S:1:pos:R:3 pbc="T T T"
Sr 0.2162 5.7306 6.2647
Sr 3.1576 8.6841 6.2325
Sr 2.7252 2.8614 2.0990
Sr 5.6665 5.8149 2.0668
Er 0.0000 2.9035 0.0000
Er 2.9414 5.7727 4.1657
Mo 0.0000 2.8693 4.1657
Mo 2.9414 0.0000 0.0000
O 0.1309 3.3169 2.1762
O 3.0723 5.3593 1.9896
O 5.7518 8.2285 6.1553
O 2.8105 6.1862 6.3419
O 1.2831 1.1393 0.3414
O 4.2244 7.5369 3.8243
O 4.5997 10.4062 7.9900
O 1.6583 4.0086 4.5072
O 1.8135 9.9698 8.0369
O 4.7549 4.4449 4.4603
O 4.0692 1.5757 0.2946
O 1.1279 7.1006 3.8712
```

Calculated formation energy, eV/atom: -3.114

Entry 6:
Compound: KMoO4
Source: Materials Project
Functional: PBE with a Hubbard U
Structure: relaxed

```
24
Lattice="-7.5604 0.0000 0.0000 -0.5889 -7.8941 0.0000 3.7045 3.1649 6.9630" Properties=species:S:1:pos:R:3 pbc="T T T"
K 2.2760 -2.4010 6.1836
K -6.7208 -2.3282 0.7794
K 0.7516 2.0235 5.6527
K -5.1964 -6.7527 1.3103
Mo -1.5247 -1.8655 4.9492
Mo -2.9202 -2.8637 2.0138
Mo -0.9693 0.4764 2.6829
Mo -3.4755 -5.2056 4.2801
O -1.6799 -1.5076 2.8868
O -2.7649 -3.2216 4.0762
O -1.4033 -5.6719 3.2570
O -3.0415 0.9427 3.7060
O -0.6304 -0.2588 4.7091
O -3.8144 -4.4705 2.2539
O -2.4133 -7.3043 1.1306
O -2.0315 2.5751 5.8324
O -1.8388 -3.1958 0.6503
O -2.6061 -1.5334 6.3127
O 0.6752 0.0853 2.1809
O -5.1201 -4.8145 4.7821
O -0.2920 -2.9552 5.5606
O -4.1528 -1.7741 1.4024
O 0.7650 -4.6123 2.5804
O -5.2098 -0.1169 4.3826
```

Calculated formation energy, eV/atom: -1.800

M_tot readings, ordered: 5.0, 7.0, 0.0, 4.0, 1.0, 1.0 μB per formula unit
DFT total energy readings, ordered: -6.336, -7.577, -5.240, -6.902, -7.230, -6.100 eV per atom